Here is crystalline MgNiW2O8 at its relaxed geometry from Materials Project. Energies are from PBE+U.

Calculated values
total magnetization	2.00	μB/f.u.
energy of formation from the pure elements	-2107	meV per atom
energy above the most stable polymorph in this dataset	0.054	eV per atom

Cell lengths 5.009, 5.547, 6.161 Å; angles 78.25, 85.77, 66.05 degrees
Space group P-1 (No. 2)
Inequivalent atoms, fractional coordinates:
Mg: 0.000 0.000 0.000 (multiplicity 1)
Ni: 0.000 0.000 0.500 (multiplicity 1)
W: 0.314 0.423 0.214 (multiplicity 2)
O: 0.025 0.732 0.297 (multiplicity 2)
O: 0.086 0.233 0.198 (multiplicity 2)
O: 0.426 0.723 0.026 (multiplicity 2)
O: 0.440 0.759 0.561 (multiplicity 2)

***

Here is crystalline MgZn2Ni4O8 at its relaxed geometry from Materials Project. Energies are from PBE+U.

Calculated values
total magnetization	6.01	μB/f.u.
energy of formation from the pure elements	-1095	meV per atom
energy above the most stable polymorph in this dataset	0.281	eV per atom

Cell lengths 8.149, 8.182, 6.627 Å; angles 90.00, 125.53, 90.00 degrees
Space group C2 (No. 5)
Inequivalent atoms, fractional coordinates:
Mg: 0.000 0.000 0.000 (multiplicity 2)
Zn: 0.000 0.266 0.500 (multiplicity 2)
Zn: 0.000 0.488 0.000 (multiplicity 2)
Ni: 0.064 0.881 0.365 (multiplicity 4)
Ni: 0.202 0.638 0.677 (multiplicity 4)
O: 0.014 0.638 0.289 (multiplicity 4)
O: 0.045 0.126 0.285 (multiplicity 4)
O: 0.230 0.870 0.736 (multiplicity 4)
O: 0.240 0.406 0.729 (multiplicity 4)

***

Here is crystalline MgZn2Ni4O8 at its relaxed geometry from Materials Project. Energies are from PBE+U.

Calculated values
total magnetization	6.00	μB/f.u.
energy of formation from the pure elements	-1376	meV per atom
energy above the most stable polymorph in this dataset	0.001	eV per atom

Cell lengths 10.180, 5.814, 6.158 Å; angles 90.00, 122.30, 90.00 degrees
Space group C2/m (No. 12)
Inequivalent atoms, fractional coordinates:
Mg: 0.000 0.000 0.000 (multiplicity 2)
Zn: 0.154 0.000 0.464 (multiplicity 4)
Ni: 0.000 0.500 0.000 (multiplicity 2)
Ni: 0.000 0.500 0.500 (multiplicity 2)
Ni: 0.250 0.250 0.000 (multiplicity 4)
O: 0.004 0.252 0.759 (multiplicity 8)
O: 0.223 0.500 0.177 (multiplicity 4)
O: 0.247 0.000 0.235 (multiplicity 4)